DFT (GGA-PBE) results for KEr2F7 after structural relaxation.

Summary:
Its space group is Pnma. Its total energy after the MP2020 corrections is -6.592 eV/atom.

Cell: 7.810 11.866 13.337 Å, 90.00 90.00 90.00°
Atoms (fractional coordinates):
K 0.250 0.915 0.905
K 0.750 0.434 0.068
K 0.750 0.585 0.405
K 0.250 0.415 0.595
K 0.250 0.566 0.932
K 0.250 0.066 0.568
K 0.750 0.934 0.432
K 0.750 0.085 0.095
Er 0.476 0.744 0.663
Er 0.250 0.507 0.241
Er 0.750 0.493 0.759
Er 0.976 0.256 0.337
Er 0.250 0.210 0.063
Er 0.750 0.993 0.741
Er 0.524 0.256 0.337
Er 0.524 0.756 0.163
Er 0.750 0.290 0.563
Er 0.750 0.790 0.937
Er 0.250 0.710 0.437
Er 0.476 0.244 0.837
Er 0.250 0.007 0.259
Er 0.024 0.244 0.837
Er 0.976 0.756 0.163
Er 0.024 0.744 0.663
F 0.985 0.219 0.002
F 0.996 0.926 0.232
F 0.750 0.866 0.095
F 0.750 0.192 0.839
F 0.919 0.330 0.699
F 0.750 0.242 0.235
F 0.421 0.588 0.123
F 0.579 0.412 0.877
F 0.750 0.742 0.265
F 0.496 0.574 0.732
F 0.079 0.088 0.377
F 0.750 0.974 0.911
F 0.515 0.219 0.002
F 0.421 0.088 0.377
F 0.919 0.830 0.801
F 0.015 0.281 0.502
F 0.250 0.026 0.089
F 0.750 0.124 0.625
F 0.250 0.808 0.161
F 0.515 0.719 0.498
F 0.250 0.337 0.920
F 0.250 0.634 0.595
F 0.581 0.830 0.801
F 0.985 0.719 0.498
F 0.419 0.670 0.301
F 0.504 0.926 0.232
F 0.015 0.781 0.998
F 0.485 0.281 0.502
F 0.750 0.663 0.080
F 0.750 0.366 0.405
F 0.485 0.781 0.998
F 0.250 0.526 0.411
F 0.921 0.912 0.623
F 0.081 0.670 0.301
F 0.750 0.163 0.420
F 0.250 0.837 0.580
F 0.250 0.758 0.765
F 0.250 0.308 0.339
F 0.750 0.692 0.661
F 0.250 0.134 0.905
F 0.996 0.426 0.268
F 0.081 0.170 0.199
F 0.419 0.170 0.199
F 0.004 0.574 0.732
F 0.250 0.876 0.375
F 0.079 0.588 0.123
F 0.250 0.376 0.125
F 0.921 0.412 0.877
F 0.504 0.426 0.268
F 0.250 0.258 0.735
F 0.004 0.074 0.768
F 0.496 0.074 0.768
F 0.581 0.330 0.699
F 0.750 0.624 0.875
F 0.579 0.912 0.623
F 0.750 0.474 0.589

DFT (GGA-PBE) results for K3ErF6 after structural relaxation.

Summary:
Its space group is P2_1/c. Its total energy after the MP2020 corrections is -5.555 eV/atom.

Cell: 6.584 6.366 11.088 Å, 55.32 90.00 90.00°
Atoms (fractional coordinates):
K 0.500 0.500 0.000
K 0.000 0.500 0.500
K 0.050 0.734 0.753
K 0.950 0.266 0.247
K 0.550 0.266 0.747
K 0.450 0.734 0.253
Er 0.500 0.000 0.500
Er 0.000 0.000 0.000
F 0.772 0.767 0.565
F 0.228 0.233 0.435
F 0.272 0.233 0.935
F 0.728 0.767 0.065
F 0.449 0.884 0.723
F 0.551 0.116 0.277
F 0.949 0.116 0.777
F 0.051 0.884 0.223
F 0.325 0.674 0.548
F 0.675 0.326 0.452
F 0.825 0.326 0.952
F 0.175 0.674 0.048

DFT (GGA-PBE) results for K3ErF6 after structural relaxation.

Summary:
Its space group is I4/mmm. Its total energy after the MP2020 corrections is -5.454 eV/atom.

Cell: 6.766 6.766 6.766 Å, 95.00 117.15 117.15°
Atoms (fractional coordinates):
K 0.500 0.750 0.250
K 0.500 0.250 0.750
K 0.000 0.500 0.500
Er 0.000 0.000 0.000
F 0.694 0.000 0.694
F 0.306 0.000 0.306
F 0.694 0.694 0.000
F 0.306 0.306 0.000
F 0.000 0.237 0.237
F 0.000 0.763 0.763

DFT (GGA-PBE) results for K3ErF6 after structural relaxation.

Summary:
Its space group is Fm-3m. Its total energy after the MP2020 corrections is -5.491 eV/atom.

Cell: 6.647 6.647 6.647 Å, 60.00 60.00 60.00°
Atoms (fractional coordinates):
K 0.750 0.750 0.750
K 0.250 0.250 0.250
K 0.500 0.500 0.500
Er 0.000 0.000 0.000
F 0.771 0.771 0.229
F 0.229 0.229 0.771
F 0.771 0.229 0.771
F 0.229 0.771 0.229
F 0.229 0.771 0.771
F 0.771 0.229 0.229

DFT (GGA-PBE) results for KEr3F10 after structural relaxation.

Summary:
Its space group is Cm. Its total energy after the MP2020 corrections is -6.730 eV/atom.

Cell: 8.183 8.183 27.207 Å, 81.42 81.42 60.00°
Atoms (fractional coordinates):
K 0.659 0.659 0.497
K 0.495 0.495 0.995
K 0.790 0.790 0.122
K 0.287 0.287 0.615
K 0.914 0.914 0.746
K 0.411 0.411 0.245
K 0.036 0.036 0.372
K 0.206 0.206 0.871
Er 0.547 0.025 0.369
Er 0.789 0.789 0.618
Er 0.004 0.004 0.998
Er 0.896 0.417 0.748
Er 0.025 0.547 0.369
Er 0.485 0.001 0.999
Er 0.545 0.545 0.370
Er 0.280 0.280 0.118
Er 0.699 0.699 0.870
Er 0.801 0.280 0.118
Er 0.903 0.420 0.248
Er 0.155 0.674 0.499
Er 0.417 0.896 0.748
Er 0.698 0.218 0.869
Er 0.280 0.801 0.118
Er 0.420 0.903 0.248
Er 0.001 0.485 0.999
Er 0.272 0.791 0.618
Er 0.902 0.902 0.247
Er 0.418 0.418 0.747
Er 0.154 0.154 0.499
Er 0.218 0.698 0.869
Er 0.674 0.155 0.499
Er 0.791 0.272 0.618
F 0.593 0.924 0.682
F 0.591 0.269 0.681
F 0.918 0.264 0.685
F 0.770 0.092 0.182
F 0.982 0.431 0.086
F 0.849 0.512 0.599
F 0.426 0.093 0.183
F 0.863 0.863 0.337
F 0.519 0.519 0.599
F 0.715 0.268 0.781
F 0.127 0.462 0.763
F 0.184 0.526 0.936
F 0.185 0.185 0.267
F 0.857 0.183 0.932
F 0.279 0.835 0.531
F 0.851 0.179 0.265
F 0.040 0.717 0.016
F 0.403 0.403 0.837
F 0.423 0.765 0.184
F 0.093 0.426 0.183
F 0.710 0.710 0.019
F 0.681 0.020 0.434
F 0.129 0.129 0.766
F 0.431 0.982 0.086
F 0.697 0.697 0.394
F 0.264 0.918 0.685
F 0.993 0.644 0.853
F 0.433 0.433 0.517
F 0.111 0.111 0.587
F 0.532 0.532 0.893
F 0.179 0.851 0.265
F 0.112 0.112 0.141
F 0.265 0.605 0.353
F 0.269 0.591 0.681
F 0.568 0.568 0.103
F 0.524 0.849 0.935
F 0.020 0.681 0.434
F 0.644 0.993 0.853
F 0.849 0.524 0.935
F 0.717 0.717 0.781
F 0.172 0.172 0.976
F 0.462 0.127 0.763
F 0.419 0.864 0.337
F 0.268 0.715 0.781
F 0.978 0.978 0.851
F 0.924 0.593 0.682
F 0.027 0.587 0.280
F 0.569 0.238 0.102
F 0.835 0.279 0.531
F 0.352 0.681 0.435
F 0.663 0.113 0.586
F 0.301 0.852 0.030
F 0.582 0.582 0.282
F 0.113 0.663 0.586
F 0.301 0.301 0.031
F 0.105 0.430 0.517
F 0.238 0.569 0.102
F 0.092 0.770 0.182
F 0.022 0.352 0.434
F 0.864 0.419 0.337
F 0.765 0.423 0.184
F 0.400 0.845 0.836
F 0.512 0.849 0.599
F 0.585 0.585 0.725
F 0.605 0.265 0.353
F 0.845 0.400 0.836
F 0.526 0.184 0.936
F 0.747 0.747 0.224
F 0.352 0.022 0.434
F 0.852 0.301 0.030
F 0.430 0.105 0.517
F 0.183 0.857 0.932
F 0.833 0.833 0.531
F 0.002 0.002 0.476
F 0.587 0.027 0.280
F 0.942 0.942 0.641
F 0.273 0.273 0.353
F 0.717 0.040 0.016
F 0.681 0.352 0.435
F 0.984 0.984 0.085

DFT (GGA-PBE) results for KErF4 after structural relaxation.

Summary:
Its space group is P3_1. Its total energy after the MP2020 corrections is -6.257 eV/atom.

Cell: 14.157 14.157 10.282 Å, 90.00 90.00 120.00°
Atoms (fractional coordinates):
K 0.054 0.605 0.986
K 0.551 0.946 0.652
K 0.395 0.449 0.319
K 0.553 0.620 0.015
K 0.066 0.447 0.681
K 0.380 0.934 0.348
K 0.728 0.957 0.982
K 0.229 0.272 0.648
K 0.043 0.771 0.315
K 0.211 0.934 0.012
K 0.723 0.789 0.679
K 0.066 0.277 0.345
K 0.896 0.281 0.011
K 0.385 0.104 0.678
K 0.719 0.615 0.345
K 0.399 0.276 0.981
K 0.877 0.601 0.648
K 0.724 0.123 0.314
Er 0.223 0.426 0.996
Er 0.203 0.777 0.663
Er 0.574 0.797 0.330
Er 0.065 0.116 0.986
Er 0.052 0.935 0.653
Er 0.884 0.948 0.319
Er 0.539 0.093 0.004
Er 0.554 0.461 0.670
Er 0.907 0.446 0.337
Er 0.392 0.784 0.992
Er 0.391 0.608 0.659
Er 0.216 0.609 0.325
Er 0.878 0.759 0.991
Er 0.880 0.122 0.657
Er 0.241 0.120 0.324
Er 0.721 0.450 0.010
Er 0.729 0.279 0.677
Er 0.550 0.271 0.343
F 0.270 0.472 0.781
F 0.202 0.730 0.447
F 0.528 0.798 0.114
F 0.211 0.476 0.205
F 0.265 0.789 0.871
F 0.524 0.735 0.538
F 0.929 0.051 0.135
F 0.123 0.071 0.802
F 0.949 0.877 0.468
F 0.063 0.059 0.322
F 0.996 0.937 0.988
F 0.941 0.004 0.655
F 0.537 0.134 0.220
F 0.598 0.463 0.887
F 0.866 0.402 0.554
F 0.603 0.147 0.797
F 0.544 0.397 0.463
F 0.853 0.456 0.130
F 0.394 0.725 0.329
F 0.331 0.606 0.996
F 0.275 0.669 0.663
F 0.258 0.714 0.143
F 0.456 0.742 0.810
F 0.286 0.544 0.477
F 0.872 0.814 0.198
F 0.942 0.128 0.865
F 0.186 0.058 0.532
F 0.925 0.801 0.775
F 0.876 0.075 0.441
F 0.199 0.124 0.108
F 0.622 0.409 0.197
F 0.787 0.378 0.864
F 0.591 0.213 0.530
F 0.728 0.329 0.340
F 0.600 0.272 0.007
F 0.671 0.400 0.674
F 0.064 0.629 0.731
F 0.566 0.936 0.397
F 0.371 0.434 0.064
F 0.057 0.581 0.240
F 0.525 0.943 0.907
F 0.419 0.475 0.574
F 0.557 0.643 0.272
F 0.086 0.443 0.939
F 0.357 0.914 0.606
F 0.409 0.934 0.096
F 0.525 0.591 0.762
F 0.066 0.475 0.429
F 0.727 0.929 0.234
F 0.202 0.273 0.900
F 0.071 0.798 0.567
F 0.737 0.978 0.727
F 0.240 0.263 0.394
F 0.022 0.760 0.060
F 0.089 0.269 0.090
F 0.180 0.911 0.756
F 0.731 0.820 0.423
F 0.217 0.962 0.270
F 0.746 0.783 0.936
F 0.038 0.254 0.603
F 0.908 0.305 0.266
F 0.397 0.092 0.933
F 0.695 0.603 0.599
F 0.745 0.610 0.091
F 0.865 0.255 0.758
F 0.390 0.135 0.424
F 0.401 0.251 0.235
F 0.850 0.599 0.902
F 0.749 0.150 0.568
F 0.420 0.302 0.724
F 0.882 0.580 0.391
F 0.698 0.118 0.057

DFT (GGA-PBE) results for LiErF2 after structural relaxation.

Summary:
Its space group is I4_1/amd. Its total energy after the MP2020 corrections is -5.125 eV/atom.

Cell: 7.841 7.841 7.841 Å, 131.60 131.60 70.86°
Atoms (fractional coordinates):
Li 0.375 0.125 0.250
Li 0.875 0.125 0.750
Li 0.875 0.125 0.250
Li 0.875 0.625 0.750
Er 0.875 0.625 0.250
Er 0.375 0.625 0.750
Er 0.375 0.625 0.250
Er 0.375 0.125 0.750
F 0.192 0.457 0.264
F 0.192 0.928 0.736
F 0.207 0.442 0.764
F 0.558 0.793 0.236
F 0.678 0.442 0.236
F 0.558 0.322 0.764
F 0.543 0.808 0.736
F 0.072 0.808 0.264

DFT (GGA-PBE) results for NaLiEr2F8 after structural relaxation.

Summary:
Its space group is Cmcm. Its total energy after the MP2020 corrections is -6.337 eV/atom.

Cell: 6.717 6.717 7.083 Å, 90.00 90.00 103.19°
Atoms (fractional coordinates):
Na 0.655 0.655 0.250
Na 0.345 0.345 0.750
Li 0.000 0.000 0.000
Li 0.000 0.000 0.500
Er 0.076 0.450 0.250
Er 0.924 0.550 0.750
Er 0.450 0.076 0.250
Er 0.550 0.924 0.750
F 0.089 0.089 0.250
F 0.911 0.911 0.750
F 0.935 0.657 0.050
F 0.065 0.343 0.950
F 0.657 0.935 0.450
F 0.343 0.065 0.550
F 0.388 0.388 0.250
F 0.612 0.612 0.750
F 0.746 0.306 0.250
F 0.254 0.694 0.750
F 0.306 0.746 0.250
F 0.694 0.254 0.750
F 0.065 0.343 0.550
F 0.935 0.657 0.450
F 0.343 0.065 0.950
F 0.657 0.935 0.050

What did we get for electronic total energy? Answer: -6.27 -5.28 -5.18 -5.21 -6.40 -5.95 -4.89 -6.03 eV per atom, in the order shown.